Entry 1:
First-principles (GGA-PBE) data for crystalline SiO2 at its relaxed geometry, as listed in the Materials Project database.

Cell and atoms, written as POSCAR:
```
SiO2
1.0
6.371 -2.529 0.000
6.371 2.529 0.000
-0.895 0.000 4.556
Si O
6 12
Cartesian
5.700 1.810 3.417
4.135 0.732 0.776
3.687 -0.732 3.054
8.160 0.732 1.502
7.713 -0.732 3.780
6.147 -1.810 1.139
5.387 1.907 0.177
2.559 0.515 3.733
6.908 1.907 2.101
4.729 0.646 2.458
3.007 -0.515 1.455
6.671 0.646 4.376
5.176 -0.646 0.180
8.840 0.515 3.101
7.119 -0.646 2.098
4.940 -1.907 2.455
9.288 -0.515 0.823
6.460 -1.907 4.379
```

Results
- Symmetry: C2/c, No. 15
- E: -7.658 eV per atom
- Calculated formation energy: -3.01 eV per atom
- Spin magnetization: 0.00 μB per atom
- Energy with MP2020 corrections: -8.116 eV/atom



Entry 2:
First-principles (GGA-PBE) data for crystalline MgH4SeO5 at its relaxed geometry, as listed in the Materials Project database.

Cell and atoms, written as POSCAR:
```
MgH4SeO5
1.0
6.537 0.000 0.000
0.000 8.976 0.000
-5.279 0.000 7.673
Mg H Se O
4 16 4 20
Cartesian
1.030 1.244 0.099
-1.610 3.244 3.936
2.868 5.731 3.737
0.228 7.732 7.573
-2.896 1.240 4.936
-0.256 3.248 1.100
-1.377 0.686 4.824
1.263 3.802 0.988
-2.173 4.605 6.107
0.467 8.859 2.271
0.915 1.310 2.844
-1.724 3.178 6.680
2.982 5.798 0.992
0.343 7.666 4.828
0.792 0.117 5.401
3.431 4.371 1.565
-0.004 5.173 6.685
2.635 8.290 2.848
1.514 5.728 6.572
4.154 7.736 2.736
-0.247 5.883 2.582
-2.887 7.581 6.419
4.145 1.395 1.254
1.506 3.093 5.090
-3.472 6.037 5.864
-0.832 7.427 2.028
-1.583 5.292 3.525
-4.223 8.172 7.361
-2.030 1.319 4.448
0.610 3.169 0.612
1.177 0.573 2.211
-1.463 3.915 6.048
3.039 1.838 0.009
0.399 2.650 3.846
0.859 6.326 3.827
-1.780 7.138 7.663
2.721 5.061 1.625
0.081 8.403 5.461
0.649 5.807 7.061
3.288 7.657 3.224
5.481 0.804 0.311
2.842 3.684 4.148
2.091 1.549 5.645
4.730 2.939 1.808
```

Results
- Symmetry: P2_1/c, No. 14
- E: -5.271 eV per atom
- Calculated formation energy: -1.64 eV per atom
- Spin magnetization: 0.00 μB per atom
- Energy with MP2020 corrections: -5.584 eV/atom



Entry 3:
First-principles (GGA-PBE) data for crystalline NdAl3Pd2 at its relaxed geometry, as listed in the Materials Project database.

Cell and atoms, written as POSCAR:
```
NdAl3Pd2
1.0
5.494 0.000 0.000
-2.747 4.758 0.000
0.000 0.000 4.229
Nd Al Pd
1 3 2
Cartesian
0.000 0.000 0.000
-1.373 2.379 2.114
2.747 0.000 2.114
1.373 2.379 2.114
0.000 3.172 0.000
2.747 1.586 0.000
```

Results
- Symmetry: P6/mmm, No. 191
- E: -5.245 eV per atom
- Calculated formation energy: -0.85 eV per atom